1.
! AlFe2BO5 GGA+U optimized geometry; values from VASP
! - DFT formation energy (eV/atom) = -2.436
! - total moment (μB/cell) = 32.00
&SYSTEM
  ibrav = 0, nat = 36, ntyp = 4
/
ATOMIC_SPECIES
Al 26.98 Al.upf
Fe 55.84 Fe.upf
B 10.81 B.upf
O 16.00 O.upf
CELL_PARAMETERS angstrom
9.669 0.000 0.000
0.000 12.278 0.000
0.000 0.000 2.965
ATOMIC_POSITIONS crystal
Al 0.242 0.116 0.000
Al 0.258 0.616 0.000
Al 0.742 0.384 0.000
Al 0.758 0.884 0.000
Fe 0.000 0.000 0.500
Fe 0.000 0.500 0.000
Fe 0.004 0.726 0.500
Fe 0.496 0.226 0.500
Fe 0.500 0.000 0.000
Fe 0.500 0.500 0.500
Fe 0.504 0.774 0.500
Fe 0.996 0.274 0.500
B 0.237 0.863 0.000
B 0.263 0.363 0.000
B 0.737 0.637 0.000
B 0.763 0.137 0.000
O 0.119 0.142 0.500
O 0.120 0.363 0.000
O 0.131 0.585 0.500
O 0.164 0.961 0.000
O 0.169 0.764 0.000
O 0.331 0.264 0.000
O 0.336 0.461 0.000
O 0.369 0.085 0.500
O 0.380 0.863 0.000
O 0.381 0.642 0.500
O 0.619 0.358 0.500
O 0.620 0.137 0.000
O 0.631 0.915 0.500
O 0.664 0.539 0.000
O 0.669 0.736 0.000
O 0.831 0.236 0.000
O 0.836 0.039 0.000
O 0.869 0.415 0.500
O 0.880 0.637 0.000
O 0.881 0.858 0.500

=====

2.
! Al3FeSiBO9 GGA+U optimized geometry; values from VASP
! - DFT formation energy (eV/atom) = -2.956
! - total moment (μB/cell) = 0.00
&SYSTEM
  ibrav = 0, nat = 60, ntyp = 5
/
ATOMIC_SPECIES
Al 26.98 Al.upf
Fe 55.84 Fe.upf
Si 28.09 Si.upf
B 10.81 B.upf
O 16.00 O.upf
CELL_PARAMETERS angstrom
11.238 0.000 0.000
0.000 5.834 0.000
0.000 0.000 10.461
ATOMIC_POSITIONS crystal
Al 0.000 0.000 0.000
Al 0.000 0.000 0.500
Al 0.000 0.500 0.000
Al 0.000 0.500 0.500
Al 0.052 0.250 0.227
Al 0.448 0.750 0.727
Al 0.500 0.000 0.000
Al 0.500 0.000 0.500
Al 0.500 0.500 0.000
Al 0.500 0.500 0.500
Al 0.552 0.250 0.273
Al 0.948 0.750 0.773
Fe 0.219 0.750 0.594
Fe 0.281 0.250 0.094
Fe 0.719 0.750 0.906
Fe 0.781 0.250 0.406
Si 0.236 0.250 0.435
Si 0.264 0.750 0.935
Si 0.736 0.250 0.065
Si 0.764 0.750 0.565
B 0.000 0.250 0.751
B 0.000 0.750 0.249
B 0.500 0.250 0.749
B 0.500 0.750 0.251
O 0.001 0.046 0.819
O 0.001 0.454 0.819
O 0.004 0.750 0.378
O 0.019 0.750 0.617
O 0.096 0.250 0.047
O 0.122 0.750 0.974
O 0.170 0.025 0.494
O 0.170 0.475 0.494
O 0.208 0.250 0.278
O 0.292 0.750 0.778
O 0.330 0.525 0.994
O 0.330 0.975 0.994
O 0.378 0.250 0.474
O 0.404 0.750 0.547
O 0.481 0.250 0.117
O 0.496 0.250 0.878
O 0.499 0.546 0.319
O 0.499 0.954 0.319
O 0.501 0.046 0.681
O 0.501 0.454 0.681
O 0.504 0.750 0.122
O 0.519 0.750 0.883
O 0.596 0.250 0.453
O 0.622 0.750 0.526
O 0.670 0.025 0.006
O 0.670 0.475 0.006
O 0.708 0.250 0.222
O 0.792 0.750 0.722
O 0.830 0.525 0.506
O 0.830 0.975 0.506
O 0.878 0.250 0.026
O 0.904 0.750 0.953
O 0.981 0.250 0.383
O 0.996 0.250 0.622
O 0.999 0.546 0.181
O 0.999 0.954 0.181

=====

3.
! MnAlB2Pb2O8 GGA+U optimized geometry; values from VASP
! - DFT formation energy (eV/atom) = -2.467
! - total moment (μB/cell) = 8.00
&SYSTEM
  ibrav = 0, nat = 28, ntyp = 5
/
ATOMIC_SPECIES
Mn 54.94 Mn.upf
Al 26.98 Al.upf
B 10.81 B.upf
Pb 207.20 Pb.upf
O 16.00 O.upf
CELL_PARAMETERS angstrom
5.993 0.000 0.000
0.000 6.982 0.000
-5.686 0.000 8.361
ATOMIC_POSITIONS crystal
Mn 0.000 0.000 0.000
Mn 0.000 0.500 0.500
Al 0.500 0.000 0.000
Al 0.500 0.500 0.500
B 0.496 0.217 0.737
B 0.496 0.283 0.237
B 0.504 0.717 0.763
B 0.504 0.783 0.263
Pb 0.098 0.557 0.858
Pb 0.098 0.943 0.358
Pb 0.902 0.057 0.642
Pb 0.902 0.443 0.142
O 0.153 0.602 0.392
O 0.153 0.898 0.892
O 0.232 0.667 0.690
O 0.232 0.833 0.190
O 0.365 0.165 0.809
O 0.365 0.335 0.309
O 0.368 0.187 0.093
O 0.368 0.313 0.593
O 0.632 0.687 0.407
O 0.632 0.813 0.907
O 0.635 0.665 0.691
O 0.635 0.835 0.191
O 0.768 0.167 0.810
O 0.768 0.333 0.310
O 0.847 0.102 0.108
O 0.847 0.398 0.608

=====

4.
! Ba2CaAl2Fe8O14 GGA+U optimized geometry; values from VASP
! - DFT formation energy (eV/atom) = -1.984
! - total moment (μB/cell) = 8.00
&SYSTEM
  ibrav = 0, nat = 27, ntyp = 5
/
ATOMIC_SPECIES
Ba 137.33 Ba.upf
Ca 40.08 Ca.upf
Al 26.98 Al.upf
Fe 55.84 Fe.upf
O 16.00 O.upf
CELL_PARAMETERS angstrom
6.271 0.000 0.000
3.064 5.622 0.000
0.067 0.294 10.058
ATOMIC_POSITIONS crystal
Ba 0.000 0.000 0.000
Ba 0.384 0.228 0.410
Ca 0.193 0.587 0.813
Al 0.077 0.860 0.543
Al 0.385 0.224 0.064
Fe 0.100 0.225 0.721
Fe 0.381 0.725 0.239
Fe 0.588 0.825 0.752
Fe 0.654 0.237 0.743
Fe 0.719 0.568 0.500
Fe 0.720 0.575 0.987
Fe 0.890 0.222 0.279
Fe 0.900 0.725 0.244
O 0.086 0.355 0.943
O 0.236 0.077 0.189
O 0.240 0.520 0.169
O 0.261 0.879 0.695
O 0.333 0.336 0.656
O 0.371 0.711 0.445
O 0.529 0.927 0.953
O 0.547 0.362 0.940
O 0.687 0.077 0.191
O 0.734 0.539 0.190
O 0.764 0.479 0.702
O 0.855 0.896 0.698
O 0.928 0.715 0.448
O 0.936 0.169 0.475

=====

5.
! BaAlCoCuO5 GGA+U optimized geometry; values from VASP
! - DFT formation energy (eV/atom) = -1.902
! - total moment (μB/cell) = 3.79
&SYSTEM
  ibrav = 0, nat = 9, ntyp = 5
/
ATOMIC_SPECIES
Ba 137.33 Ba.upf
Al 26.98 Al.upf
Co 58.93 Co.upf
Cu 63.55 Cu.upf
O 16.00 O.upf
CELL_PARAMETERS angstrom
3.716 0.000 0.000
0.000 3.716 0.000
0.000 0.000 8.131
ATOMIC_POSITIONS crystal
Ba 0.000 0.000 0.000
Al 0.000 0.000 0.464
Co 0.500 0.500 0.667
Cu 0.500 0.500 0.260
O 0.000 0.500 0.256
O 0.000 0.500 0.568
O 0.500 0.000 0.256
O 0.500 0.000 0.568
O 0.500 0.500 0.887

=====

6.
! Ba2AlCo3O8 GGA+U optimized geometry; values from VASP
! - DFT formation energy (eV/atom) = -1.921
! - total moment (μB/cell) = 10.30
&SYSTEM
  ibrav = 0, nat = 14, ntyp = 4
/
ATOMIC_SPECIES
Ba 137.33 Ba.upf
Al 26.98 Al.upf
Co 58.93 Co.upf
O 16.00 O.upf
CELL_PARAMETERS angstrom
3.750 0.000 0.000
0.000 3.750 0.000
0.000 0.000 12.857
ATOMIC_POSITIONS crystal
Ba 0.000 0.000 0.165
Ba 0.000 0.000 0.835
Al 0.000 0.000 0.500
Co 0.500 0.500 0.000
Co 0.500 0.500 0.357
Co 0.500 0.500 0.643
O 0.000 0.500 0.000
O 0.000 0.500 0.406
O 0.000 0.500 0.594
O 0.500 0.000 0.000
O 0.500 0.000 0.406
O 0.500 0.000 0.594
O 0.500 0.500 0.217
O 0.500 0.500 0.783

=====

7.
! Ba12Sm4Al3Co5O30 GGA+U optimized geometry; values from VASP
! - DFT formation energy (eV/atom) = -2.840
! - total moment (μB/cell) = 18.00
&SYSTEM
  ibrav = 0, nat = 54, ntyp = 5
/
ATOMIC_SPECIES
Ba 137.33 Ba.upf
Sm 150.36 Sm.upf
Al 26.98 Al.upf
Co 58.93 Co.upf
O 16.00 O.upf
CELL_PARAMETERS angstrom
7.113 0.000 0.000
-0.129 11.764 0.000
-0.140 -5.844 10.266
ATOMIC_POSITIONS crystal
Ba 0.000 0.000 0.000
Ba 0.001 0.469 0.996
Ba 0.173 0.482 0.512
Ba 0.185 0.815 0.171
Ba 0.331 0.296 0.125
Ba 0.495 0.161 0.347
Ba 0.499 0.648 0.356
Ba 0.505 0.642 0.822
Ba 0.674 0.815 0.169
Ba 0.690 0.155 0.838
Ba 0.833 0.774 0.652
Ba 0.997 0.994 0.517
Sm 0.318 0.297 0.693
Sm 0.337 0.866 0.695
Sm 0.823 0.339 0.651
Sm 0.829 0.342 0.214
Al 0.496 0.005 0.533
Al 0.504 0.001 0.994
Al 0.509 0.454 0.986
Co 0.003 0.643 0.354
Co 0.013 0.644 0.818
Co 0.149 0.158 0.838
Co 0.633 0.480 0.508
Co 0.989 0.172 0.352
O 0.017 0.001 0.760
O 0.094 0.223 0.244
O 0.101 0.486 0.230
O 0.123 0.221 0.511
O 0.135 0.481 0.768
O 0.155 0.754 0.501
O 0.159 0.746 0.776
O 0.322 0.070 0.659
O 0.327 0.324 0.911
O 0.332 0.054 0.915
O 0.406 0.933 0.085
O 0.413 0.612 0.068
O 0.417 0.928 0.370
O 0.486 0.648 0.589
O 0.493 0.398 0.594
O 0.511 0.405 0.348
O 0.603 0.893 0.572
O 0.619 0.888 0.852
O 0.631 0.148 0.572
O 0.635 0.419 0.843
O 0.648 0.421 0.093
O 0.651 0.140 0.101
O 0.811 0.310 0.430
O 0.824 0.554 0.675
O 0.830 0.558 0.413
O 0.910 0.716 0.976
O 0.913 0.733 0.277
O 0.920 0.003 0.278
O 0.987 0.231 0.000
O 0.997 0.236 0.752

=====

8.
! Ba2AlTlCo2O7 GGA+U optimized geometry; values from VASP
! - DFT formation energy (eV/atom) = -2.080
! - total moment (μB/cell) = 6.00
&SYSTEM
  ibrav = 0, nat = 13, ntyp = 5
/
ATOMIC_SPECIES
Ba 137.33 Ba.upf
Al 26.98 Al.upf
Tl 204.38 Tl.upf
Co 58.93 Co.upf
O 16.00 O.upf
CELL_PARAMETERS angstrom
4.043 0.000 0.000
0.014 4.267 0.000
1.751 0.081 11.425
ATOMIC_POSITIONS crystal
Ba 0.000 0.000 0.000
Ba 0.215 0.003 0.555
Al 0.111 0.854 0.278
Tl 0.608 0.564 0.778
Co 0.472 0.472 0.152
Co 0.742 0.470 0.395
O 0.107 0.831 0.779
O 0.272 0.562 0.372
O 0.410 0.013 0.165
O 0.533 0.465 0.964
O 0.687 0.465 0.594
O 0.805 0.011 0.388
O 0.938 0.564 0.189

=====

9.
! Ba2AlTlCo2O7 GGA+U optimized geometry; values from VASP
! - DFT formation energy (eV/atom) = -2.028
! - total moment (μB/cell) = 6.00
&SYSTEM
  ibrav = 0, nat = 13, ntyp = 5
/
ATOMIC_SPECIES
Ba 137.33 Ba.upf
Al 26.98 Al.upf
Tl 204.38 Tl.upf
Co 58.93 Co.upf
O 16.00 O.upf
CELL_PARAMETERS angstrom
4.019 0.000 0.000
0.002 4.323 0.000
1.773 0.039 11.404
ATOMIC_POSITIONS crystal
Ba 0.000 0.000 0.000
Ba 0.223 0.004 0.556
Al 0.114 0.862 0.279
Tl 0.612 0.562 0.778
Co 0.472 0.472 0.157
Co 0.751 0.472 0.396
O 0.112 0.833 0.779
O 0.281 0.572 0.370
O 0.411 0.021 0.166
O 0.530 0.465 0.964
O 0.695 0.463 0.594
O 0.813 0.021 0.389
O 0.940 0.572 0.189

=====

10.
! Ba2AlCr2F11 GGA+U optimized geometry; values from VASP
! - DFT formation energy (eV/atom) = -3.601
! - total moment (μB/cell) = 24.00
&SYSTEM
  ibrav = 0, nat = 48, ntyp = 4
/
ATOMIC_SPECIES
Ba 137.33 Ba.upf
Al 26.98 Al.upf
Cr 52.00 Cr.upf
F 19.00 F.upf
CELL_PARAMETERS angstrom
7.488 0.000 0.000
-3.744 6.484 0.000
0.000 0.000 14.411
ATOMIC_POSITIONS crystal
Ba 0.145 0.012 0.000
Ba 0.507 0.159 0.468
Ba 0.651 0.493 0.801
Ba 0.841 0.349 0.135
Ba 0.868 0.855 0.333
Ba 0.988 0.132 0.667
Al 0.173 0.495 0.871
Al 0.322 0.827 0.205
Al 0.505 0.678 0.538
Cr 0.120 0.428 0.394
Cr 0.308 0.880 0.727
Cr 0.338 0.311 0.224
Cr 0.572 0.692 0.060
Cr 0.689 0.027 0.891
Cr 0.973 0.662 0.558
F 0.004 0.756 0.694
F 0.043 0.138 0.181
F 0.055 0.767 0.180
F 0.067 0.375 0.981
F 0.094 0.957 0.515
F 0.132 0.714 0.886
F 0.209 0.555 0.243
F 0.233 0.288 0.846
F 0.244 0.248 0.360
F 0.266 0.589 0.751
F 0.286 0.418 0.552
F 0.308 0.933 0.315
F 0.323 0.734 0.085
F 0.347 0.791 0.576
F 0.367 0.162 0.686
F 0.406 0.392 0.088
F 0.411 0.677 0.418
F 0.427 0.083 0.151
F 0.445 0.653 0.909
F 0.532 0.169 0.929
F 0.582 0.868 0.219
F 0.608 0.013 0.755
F 0.625 0.692 0.648
F 0.637 0.468 0.262
F 0.655 0.573 0.484
F 0.712 0.945 0.513
F 0.752 0.996 0.027
F 0.795 0.633 0.019
F 0.831 0.363 0.596
F 0.838 0.205 0.353
F 0.862 0.906 0.848
F 0.917 0.345 0.817
F 0.987 0.594 0.421

=====

11.
! BaAlFeCuO5 GGA+U optimized geometry; values from VASP
! - DFT formation energy (eV/atom) = -2.007
! - total moment (μB/cell) = 4.97
&SYSTEM
  ibrav = 0, nat = 9, ntyp = 5
/
ATOMIC_SPECIES
Ba 137.33 Ba.upf
Al 26.98 Al.upf
Fe 55.84 Fe.upf
Cu 63.55 Cu.upf
O 16.00 O.upf
CELL_PARAMETERS angstrom
3.729 0.000 0.000
0.000 3.729 0.000
0.000 0.000 8.157
ATOMIC_POSITIONS crystal
Ba 0.000 0.000 0.000
Al 0.000 0.000 0.447
Fe 0.500 0.500 0.663
Cu 0.500 0.500 0.252
O 0.000 0.500 0.268
O 0.000 0.500 0.573
O 0.500 0.000 0.268
O 0.500 0.000 0.573
O 0.500 0.500 0.892

=====

12.
! BaAlCuMoO5 GGA+U optimized geometry; values from VASP
! - DFT formation energy (eV/atom) = -1.908
! - total moment (μB/cell) = 2.55
&SYSTEM
  ibrav = 0, nat = 9, ntyp = 5
/
ATOMIC_SPECIES
Ba 137.33 Ba.upf
Al 26.98 Al.upf
Cu 63.55 Cu.upf
Mo 95.94 Mo.upf
O 16.00 O.upf
CELL_PARAMETERS angstrom
3.837 0.000 0.000
0.000 3.837 0.000
0.000 0.000 8.275
ATOMIC_POSITIONS crystal
Ba 0.000 0.000 0.000
Al 0.000 0.000 0.415
Cu 0.500 0.500 0.256
Mo 0.500 0.500 0.663
O 0.000 0.500 0.273
O 0.000 0.500 0.576
O 0.500 0.000 0.273
O 0.500 0.000 0.576
O 0.500 0.500 0.908

=====

13.
! BaAlCuNiO5 GGA+U optimized geometry; values from VASP
! - DFT formation energy (eV/atom) = -1.819
! - total moment (μB/cell) = 1.31
&SYSTEM
  ibrav = 0, nat = 9, ntyp = 5
/
ATOMIC_SPECIES
Ba 137.33 Ba.upf
Al 26.98 Al.upf
Cu 63.55 Cu.upf
Ni 58.69 Ni.upf
O 16.00 O.upf
CELL_PARAMETERS angstrom
3.716 0.000 0.000
0.000 3.716 0.000
0.000 0.000 7.620
ATOMIC_POSITIONS crystal
Ba 0.000 0.000 0.000
Al 0.000 0.000 0.504
Cu 0.500 0.500 0.270
Ni 0.500 0.500 0.712
O 0.000 0.500 0.327
O 0.000 0.500 0.644
O 0.500 0.000 0.327
O 0.500 0.000 0.644
O 0.500 0.500 0.976